Record 1
Density functional theory data (r²SCAN) for crystalline ThBrN at its relaxed geometry.

a b c (Å): 4.0740 4.0740 8.1270
angles (deg): 90.00 90.00 90.00
Space group P4/nmm (No. 129, origin choice 2)
Unique sites:
Th: 0.2500 0.2500 0.1427
Br: 0.2500 0.2500 0.6479
N: 0.2500 0.7500 0.0000

E_form   -2.26 eV/atom
Uncorrected energy   -34.21 eV per atom
Magnetization   0.0 Bohr magnetons per cell

Record 2
Density functional theory data (r²SCAN) for crystalline NaBr at its relaxed geometry.

a b c (Å): 5.9231 5.9231 5.9231
angles (deg): 90.00 90.00 90.00
Space group Fm-3m (No. 225)
Unique sites:
Na: 0.0000 0.0000 0.0000
Br: 0.0000 0.0000 0.5000

E_form   -1.81 eV/atom
Uncorrected energy   -10.23 eV per atom
Magnetization   0.0 Bohr magnetons per cell

Among the records above, which one has the highest E_form?
NaBr